1.
Material: Ca5Al11TlSi13O48
Method: DFT, PBE
State: relaxed

a = 12.616 Å, b = 12.330 Å, c = 12.164 Å
α = 90.52°, β = 89.45°, γ = 90.27°
Atoms (fractional coordinates):
Ca1 0.785 0.191 0.198
Ca2 0.775 0.186 0.813
Ca3 0.780 0.810 0.182
Ca4 0.820 0.774 0.801
Ca5 0.205 0.000 0.006
Al1 0.613 0.185 0.008
Al2 0.616 0.005 0.184
Al3 0.622 0.814 0.981
Al4 0.618 0.993 0.804
Al5 0.834 0.996 0.360
Al6 0.833 0.358 0.999
Al7 0.825 0.624 0.015
Al8 0.819 0.012 0.631
Al9 0.004 0.628 0.189
Al10 0.009 0.624 0.816
Al11 0.995 0.826 0.636
Tl1 0.497 0.749 0.748
Si1 0.179 0.998 0.370
Si2 0.180 0.370 0.000
Si3 0.183 0.622 0.993
Si4 0.177 0.995 0.626
Si5 0.364 0.187 0.998
Si6 0.359 0.811 0.993
Si7 0.366 0.997 0.187
Si8 0.357 0.996 0.810
Si9 0.008 0.184 0.369
Si10 0.006 0.185 0.628
Si11 0.007 0.364 0.185
Si12 0.009 0.364 0.812
Si13 0.006 0.817 0.364
O1 0.992 0.214 0.498
O2 0.996 0.489 0.211
O3 0.029 0.295 0.698
O4 0.025 0.700 0.311
O5 0.990 0.818 0.494
O6 0.972 0.707 0.707
O7 0.116 0.112 0.352
O8 0.108 0.106 0.642
O9 0.112 0.336 0.108
O10 0.107 0.655 0.094
O11 0.113 0.343 0.890
O12 0.136 0.643 0.873
O13 0.115 0.891 0.669
O14 0.108 0.897 0.330
O15 0.225 0.494 0.004
O16 0.220 0.989 0.497
O17 0.279 0.282 0.999
O18 0.285 0.009 0.703
O19 0.292 0.702 0.001
O20 0.281 0.002 0.285
O21 0.334 0.102 0.103
O22 0.326 0.099 0.896
O23 0.327 0.895 0.099
O24 0.311 0.893 0.891
O25 0.483 0.986 0.227
O26 0.482 0.228 0.989
O27 0.478 0.977 0.779
O28 0.482 0.789 0.971
O29 0.625 0.141 0.143
O30 0.640 0.089 0.906
O31 0.645 0.901 0.091
O32 0.651 0.857 0.842
O33 0.703 0.044 0.705
O34 0.729 0.264 0.992
O35 0.715 0.714 0.002
O36 0.730 0.999 0.265
O37 0.795 0.489 0.006
O38 0.802 0.003 0.494
O39 0.896 0.131 0.675
O40 0.879 0.671 0.141
O41 0.910 0.668 0.909
O42 0.884 0.902 0.690
O43 0.906 0.118 0.319
O44 0.902 0.312 0.121
O45 0.904 0.311 0.877
O46 0.901 0.878 0.308
O47 0.019 0.295 0.299
O48 0.992 0.488 0.783

Results
ΔE to the lowest computed polymorph in meV/atom: 0.0
ΔH_f (0 K) in eV/atom: -3.2159


2.
Material: MgCd2Bi2O6
Method: DFT, PBE
State: relaxed

a = 5.565 Å, b = 7.020 Å, c = 5.771 Å
α = 63.13°, β = 117.61°, γ = 114.97°
Atoms (fractional coordinates):
Mg1 0.354 0.272 0.263
Cd1 0.695 0.410 0.898
Cd2 0.462 0.854 0.021
Bi1 0.884 0.051 0.647
Bi2 0.102 0.625 0.466
O1 0.020 0.719 0.730
O2 0.586 0.168 0.686
O3 0.224 0.337 0.837
O4 0.655 0.576 0.195
O5 0.454 0.982 0.308
O6 0.021 0.288 0.303

Results
ΔE to the lowest computed polymorph in meV/atom: 13.4
ΔH_f (0 K) in eV/atom: -1.6942


3.
Material: ThInRh2
Method: DFT, PBE
State: relaxed

a = 4.855 Å, b = 4.855 Å, c = 4.855 Å
α = 60.00°, β = 60.00°, γ = 60.00°
Atoms (fractional coordinates):
Th1 0.000 0.000 0.000
In1 0.500 0.500 0.500
Rh1 0.250 0.250 0.250
Rh2 0.750 0.750 0.750

Results
ΔH_f (0 K) in eV/atom: -0.6873